19
Lattice="-0.5908 0.4492 4.0139 2.6930 -2.9795 0.7298 11.7837 10.7801 0.5281" Properties=species:S:1:pos:R:3 comment="Hf4Ru12C3 PBE relaxed" e_tot_ry_per_atom=-0.7177 density_g_cm3=12.24 spacegroup="No. 123" crystal_system=tetragonal pbc="T T T"
Hf 10.3963 9.5109 0.4659
Hf 1.3874 1.2692 0.0622
Hf 4.3955 4.0211 0.1970
Hf 7.3883 6.7590 0.3311
Ru 11.4688 8.2652 2.8387
Ru 2.4172 -0.0154 2.4331
Ru 5.4447 2.7542 2.5688
Ru 8.4413 5.4956 2.7031
Ru -0.2954 0.2246 2.0070
Ru 2.6391 2.9091 2.1385
Ru 5.5965 5.6146 2.2710
Ru 8.5538 8.3201 2.4036
Ru 1.3465 -1.4897 0.3649
Ru 4.2810 1.1948 0.4964
Ru 7.2384 3.9003 0.6290
Ru 10.1958 6.6058 0.7615
C 3.8688 1.3125 2.4981
C 6.9430 4.1249 2.6359
C 10.0172 6.9373 2.7737